Ti12Mn5P18O72 after structural relaxation, computed with PBE+U.

Calculated values
Final energy: -7.96 eV per atom
Calculated formation energy: -315.20 eV per formula unit

a = 8.665 Å, b = 12.246 Å, c = 14.981 Å
α = 114.01°, β = 106.80°, γ = 89.99°
Element x y z (fractional)
O 0.864 0.479 0.527
O 0.249 0.065 0.320
Mn 0.000 0.000 0.000
O 0.584 0.398 0.988
Ti 0.431 0.286 0.863
O 0.486 0.934 0.834
O 0.611 0.102 0.018
O 0.343 0.429 0.833
O 0.224 0.963 0.100
Ti 0.237 0.881 0.474
Ti 0.090 0.455 0.181
O 0.531 0.146 0.860
O 0.271 0.265 0.921
O 0.109 0.371 0.567
P 0.974 0.223 0.234
P 0.600 0.055 0.904
Mn 0.334 0.334 0.667
O 0.652 0.779 0.922
Ti 0.765 0.618 0.528
O 0.533 0.302 0.284
O 0.657 0.571 0.167
P 0.026 0.777 0.766
O 0.675 0.762 0.500
P 0.360 0.113 0.432
O 0.667 0.972 0.519
O 0.012 0.892 0.413
Ti 0.430 0.785 0.859
O 0.075 0.136 0.950
P 0.874 0.915 0.333
P 0.640 0.887 0.568
Mn 0.666 0.666 0.333
Ti 0.570 0.215 0.141
O 0.318 0.442 0.254
O 0.514 0.066 0.166
P 0.208 0.247 0.001
O 0.592 0.529 0.383
O 0.776 0.037 0.900
O 0.009 0.096 0.166
P 0.066 0.610 0.427
O 0.259 0.196 0.717
P 0.456 0.419 0.332
P 0.694 0.446 0.101
P 0.544 0.581 0.668
O 0.197 0.812 0.194
O 0.136 0.521 0.473
P 0.792 0.753 0.999
O 0.661 0.361 0.148
O 0.063 0.069 0.747
O 0.408 0.471 0.617
Mn 0.667 0.167 0.333
O 0.944 0.438 0.686
O 0.719 0.228 0.646
P 0.934 0.390 0.573
O 0.469 0.854 0.140
P 0.268 0.722 0.239
Ti 0.903 0.050 0.805
Ti 0.569 0.714 0.137
Ti 0.097 0.950 0.195
P 0.400 0.945 0.096
O 0.180 0.732 0.498
O 0.842 0.399 0.825
O 0.203 0.789 0.762
O 0.056 0.562 0.314
O 0.871 0.455 0.102
O 0.997 0.692 0.813
O 0.281 0.772 0.354
O 0.797 0.211 0.238
O 0.325 0.238 0.500
Mn 0.333 0.833 0.667
O 0.925 0.864 0.050
O 0.444 0.705 0.234
O 0.682 0.558 0.746
Ti 0.235 0.382 0.472
O 0.537 0.123 0.429
Ti 0.910 0.545 0.819
O 0.729 0.735 0.079
O 0.605 0.598 0.586
O 0.467 0.698 0.716
O 0.988 0.108 0.587
O 0.389 0.898 0.982
O 0.937 0.931 0.253
O 0.137 0.361 0.055
O 0.129 0.545 0.898
O 0.395 0.402 0.414
O 0.556 0.295 0.766
O 0.085 0.269 0.347
O 0.991 0.904 0.834
O 0.803 0.188 0.806
O 0.799 0.031 0.383
O 0.348 0.221 0.078
P 0.732 0.278 0.761
O 0.158 0.601 0.175
O 0.003 0.308 0.187
O 0.463 0.877 0.571
P 0.126 0.085 0.667
O 0.820 0.268 0.502
O 0.891 0.629 0.433
O 0.339 0.639 0.852
O 0.751 0.935 0.680
Ti 0.763 0.119 0.526
O 0.863 0.639 0.945
O 0.741 0.804 0.283
O 0.416 0.602 0.012
O 0.333 0.028 0.481
O 0.915 0.731 0.653
O 0.201 0.969 0.617
P 0.306 0.554 0.899